1.
This record from the Materials Project describes Co3As2O8 after structural relaxation. The functional is meta-GGA r2SCAN.

Output
* uncorrected energy: -10.30 eV per atom

a b c (Å): 5.828 9.660 10.275
angles (deg): 90.00 93.44 90.00
Space group P2_1/c (No. 14)
Symmetry-distinct sites (fractional):
Co 0.111 0.134 0.464
Co 0.351 0.139 0.216
Co 0.356 0.622 0.557
As 0.127 0.055 0.795
As 0.368 0.655 0.881
O 0.110 0.007 0.133
O 0.118 0.007 0.635
O 0.131 0.231 0.806
O 0.157 0.731 0.965
O 0.367 0.020 0.381
O 0.373 0.512 0.376
O 0.386 0.722 0.728
O 0.397 0.243 0.547

---

2.
This record from the Materials Project describes VCo3AsO8 after structural relaxation. The functional is meta-GGA r2SCAN.

Output
* uncorrected energy: -10.58 eV per atom

a b c (Å): 11.474 5.954 8.220
angles (deg): 90.00 90.02 90.00
Space group C2/m (No. 12)
Symmetry-distinct sites (fractional):
V 0.122 0.000 0.117
Co 0.000 0.000 0.500
Co 0.000 0.500 0.000
Co 0.134 0.251 0.749
As 0.125 0.500 0.384
O 0.000 0.000 0.252
O 0.005 0.500 0.254
O 0.117 0.236 0.995
O 0.121 0.263 0.501
O 0.247 0.500 0.267
O 0.249 0.000 0.229

---

3.
This record from the Materials Project describes PrCo2As2 after structural relaxation. The functional is meta-GGA r2SCAN.

Output
* uncorrected energy: -17.80 eV per atom

a b c (Å): 4.062 4.062 10.162
angles (deg): 90.00 90.00 90.00
Space group I4/mmm (No. 139)
Symmetry-distinct sites (fractional):
Pr 0.000 0.000 0.000
Co 0.000 0.500 0.250
As 0.000 0.000 0.362

---

4.
This record from the Materials Project describes SrCo2As2 after structural relaxation. The functional is meta-GGA r2SCAN.

Output
* uncorrected energy: -14.82 eV per atom

a b c (Å): 3.982 3.982 11.449
angles (deg): 90.00 90.00 90.00
Space group I4/mmm (No. 139)
Symmetry-distinct sites (fractional):
Sr 0.000 0.000 0.000
Co 0.000 0.500 0.250
As 0.000 0.000 0.351

---

5.
This record from the Materials Project describes TaCoAs after structural relaxation. The functional is meta-GGA r2SCAN.

Output
* uncorrected energy: -25.89 eV per atom

a b c (Å): 6.277 3.694 7.146
angles (deg): 90.00 90.00 90.00
Space group Pnma (No. 62)
Symmetry-distinct sites (fractional):
Ta 0.020 0.250 0.169
Co 0.147 0.250 0.568
As 0.219 0.750 0.378

---

6.
This record from the Materials Project describes YCo5As3 after structural relaxation. The functional is meta-GGA r2SCAN.

Output
* uncorrected energy: -14.97 eV per atom

a b c (Å): 12.068 3.807 10.573
angles (deg): 90.00 90.00 90.00
Space group Pnma (No. 62)
Symmetry-distinct sites (fractional):
Y 0.201 0.250 0.081
Co 0.009 0.750 0.704
Co 0.011 0.750 0.096
Co 0.067 0.750 0.471
Co 0.174 0.250 0.785
Co 0.196 0.250 0.383
As 0.108 0.750 0.899
As 0.116 0.250 0.583
As 0.133 0.750 0.271

---

7.
This record from the Materials Project describes Cr3As after structural relaxation. The functional is meta-GGA r2SCAN.

Output
* uncorrected energy: -14.85 eV per atom

a b c (Å): 4.544 4.544 4.544
angles (deg): 90.00 90.00 90.00
Space group Pm-3n (No. 223)
Symmetry-distinct sites (fractional):
Cr 0.000 0.250 0.500
As 0.000 0.000 0.000

---

8.
This record from the Materials Project describes CrAs2 after structural relaxation. The functional is meta-GGA r2SCAN.

Output
* uncorrected energy: -14.85 eV per atom

a b c (Å): 8.846 3.200 7.406
angles (deg): 90.00 120.08 90.00
Space group C2/m (No. 12)
Symmetry-distinct sites (fractional):
Cr 0.154 0.000 0.202
As 0.096 0.500 0.897
As 0.149 0.000 0.536

---

9.
This record from the Materials Project describes CsCrAs2O7 after structural relaxation. The functional is meta-GGA r2SCAN.

Output
* uncorrected energy: -11.88 eV per atom

a b c (Å): 7.937 10.116 8.692
angles (deg): 90.00 105.90 90.00
Space group P2_1/c (No. 14)
Symmetry-distinct sites (fractional):
Cs 0.179 0.196 0.044
Cr 0.239 0.601 0.267
As 0.136 0.589 0.841
As 0.431 0.632 0.686
O 0.017 0.508 0.277
O 0.097 0.741 0.758
O 0.152 0.580 0.035
O 0.295 0.605 0.504
O 0.338 0.536 0.814
O 0.364 0.076 0.782
O 0.442 0.710 0.253

---

10.
This record from the Materials Project describes K2Cr2AsHO10 after structural relaxation. The functional is meta-GGA r2SCAN.

Output
* uncorrected energy: -9.25 eV per atom

a b c (Å): 7.6886 7.6886 14.4361
angles (deg): 90.00 90.00 120.00
Space group P3_1 (No. 144)
Symmetry-distinct sites (fractional):
K 0.0054 0.6140 0.0000
K 0.4606 0.4467 0.8274
Cr 0.0060 0.5780 0.7568
Cr 0.4265 0.4147 0.5746
As 0.0236 0.1348 0.9795
H 0.0197 0.0530 0.7877
O 0.0592 0.0287 0.3866
O 0.0880 0.4903 0.3143
O 0.1114 0.1002 0.8816
O 0.1411 0.5157 0.8184
O 0.1562 0.7661 0.1863
O 0.1741 0.8125 0.6976
O 0.3495 0.1839 0.6397
O 0.3825 0.2445 0.1568
O 0.5346 0.1231 0.3462
O 0.5564 0.1524 0.8344

---

11.
This record from the Materials Project describes Cs3As11 after structural relaxation. The functional is meta-GGA r2SCAN.

Output
* uncorrected energy: -17.32 eV per atom

a b c (Å): 13.366 15.534 19.604
angles (deg): 90.00 94.89 90.00
Space group C2/c (No. 15)
Symmetry-distinct sites (fractional):
Cs 0.042 0.247 0.392
Cs 0.113 0.418 0.630
Cs 0.116 0.142 0.881
As 0.080 0.013 0.181
As 0.100 0.048 0.059
As 0.133 0.469 0.446
As 0.135 0.388 0.994
As 0.138 0.487 0.321
As 0.153 0.131 0.245
As 0.175 0.186 0.603
As 0.195 0.077 0.519
As 0.196 0.362 0.814
As 0.210 0.098 0.702
As 0.230 0.162 0.069

---

12.
This record from the Materials Project describes CsAsF6 after structural relaxation. The functional is meta-GGA r2SCAN.

Output
* uncorrected energy: -9.94 eV per atom

a b c (Å): 7.7117 7.7117 7.8661
angles (deg): 90.00 90.00 120.00
Space group R-3 (No. 148, hexagonal axes)
Symmetry-distinct sites (fractional):
Cs 0.0000 0.0000 0.0000
As 0.0000 0.0000 0.5000
F 0.0605 0.2068 0.6291

---

13.
This record from the Materials Project describes CsAs4F13 after structural relaxation. The functional is meta-GGA r2SCAN.

Output
* uncorrected energy: -9.28 eV per atom

a b c (Å): 9.396 9.396 6.719
angles (deg): 90.00 90.00 90.00
Space group I-4 (No. 82)
Symmetry-distinct sites (fractional):
Cs 0.000 0.000 0.000
As 0.013 0.695 0.485
F 0.000 0.500 0.250
F 0.079 0.837 0.637
F 0.081 0.353 0.921
F 0.116 0.759 0.287